[1]
Entry from the Materials Project: an optimized crystal structure of Li4MnCo2O7 (PBE with a Hubbard U).

Computed properties:
SG: Cm, No. 8
E_form in meV per atom: -1836
Offset from the most stable computed form in eV/atom: 0.047
Total magnetization in μB per atom: 0.357

Unit cell a=10.784 b=10.784 c=8.327 alpha=102.00 beta=102.00 gamma=15.52
Element x y z (fractional)
1 Li 0.000 0.000 0.000
2 Li 0.005 0.005 0.498
3 Li 0.142 0.142 0.571
4 Li 0.294 0.294 0.138
5 Li 0.434 0.434 0.702
6 Li 0.568 0.568 0.298
7 Li 0.720 0.720 0.854
8 Li 0.867 0.867 0.428
9 Mn 0.575 0.575 0.772
10 Mn 0.717 0.717 0.359
11 Co 0.146 0.146 0.068
12 Co 0.292 0.292 0.653
13 Co 0.438 0.438 0.237
14 Co 0.865 0.865 0.940
15 O 0.002 0.002 0.244
16 O 0.014 0.014 0.757
17 O 0.140 0.140 0.816
18 O 0.155 0.155 0.329
19 O 0.279 0.279 0.385
20 O 0.291 0.291 0.886
21 O 0.429 0.429 0.960
22 O 0.430 0.430 0.450
23 O 0.576 0.576 0.554
24 O 0.585 0.585 0.023
25 O 0.710 0.710 0.119
26 O 0.725 0.725 0.593
27 O 0.855 0.855 0.682
28 O 0.862 0.862 0.164



[2]
Entry from the Materials Project: an optimized crystal structure of Li2Mn3CoO8 (PBE with a Hubbard U).

Computed properties:
SG: P2/m, No. 10
E_form in meV per atom: -1952
Offset from the most stable computed form in eV/atom: 0.001
Total magnetization in μB per atom: 0.571

Unit cell a=5.827 b=5.831 c=8.454 alpha=90.00 beta=90.32 gamma=90.00
Element x y z (fractional)
1 Li 0.242 0.000 0.115
2 Li 0.254 0.500 0.384
3 Li 0.746 0.500 0.616
4 Li 0.758 0.000 0.885
5 Mn 0.000 0.500 0.000
6 Mn 0.246 0.253 0.743
7 Mn 0.246 0.747 0.743
8 Mn 0.500 0.000 0.500
9 Mn 0.754 0.253 0.257
10 Mn 0.754 0.747 0.257
11 Co 0.000 0.000 0.500
12 Co 0.500 0.500 0.000
13 O 0.025 0.000 0.729
14 O 0.029 0.500 0.738
15 O 0.239 0.267 0.968
16 O 0.239 0.733 0.968
17 O 0.251 0.218 0.512
18 O 0.251 0.782 0.512
19 O 0.464 0.500 0.744
20 O 0.475 0.000 0.732
21 O 0.525 0.000 0.268
22 O 0.536 0.500 0.256
23 O 0.749 0.218 0.488
24 O 0.749 0.782 0.488
25 O 0.761 0.267 0.032
26 O 0.761 0.733 0.032
27 O 0.971 0.500 0.262
28 O 0.975 0.000 0.271



[3]
Entry from the Materials Project: an optimized crystal structure of Li2MnCoO4 (PBE with a Hubbard U).

Computed properties:
SG: I-4m2, No. 119
E_form in meV per atom: -1857
Offset from the most stable computed form in eV/atom: 0.078
Total magnetization in μB per atom: 0.970

Unit cell a=5.164 b=5.164 c=5.164 alpha=132.14 beta=132.14 gamma=70.01
Element x y z (fractional)
1 Li 0.000 0.000 0.000
2 Li 0.750 0.250 0.500
3 Mn 0.500 0.500 0.000
4 Co 0.250 0.750 0.500
5 O 0.020 0.520 0.500
6 O 0.272 0.272 0.000
7 O 0.480 0.980 0.500
8 O 0.728 0.728 0.000



Number 1: energy with MP2020 corrections -6.5258 eV per atom. Number 2: energy with MP2020 corrections -7.5234 eV per atom. Number 3: energy with MP2020 corrections -6.8419 eV per atom.